# RbPaO3

Crystalline RbPaO3 at its relaxed geometry (r²SCAN, the Materials Project).

Final energy (eV per atom): -25.135

Unit cell a=4.3811 b=4.3811 c=4.3811 alpha=90.00 beta=90.00 gamma=90.00
Closest atoms and distances in Å follow each position.
Space group Pm-3m (No. 221)
Symmetry-distinct sites (fractional):
Rb 0.0000 0.0000 0.0000 x1  12 O 3.10
Pa 0.5000 0.5000 0.5000 x1  6 O 2.19
O 0.0000 0.5000 0.5000 x3  2 Pa 2.19

***

# Al

Crystalline Al at its relaxed geometry (r²SCAN, the Materials Project).

Distance to the lowest polymorph of the same formula (eV per atom): 0.000

Unit cell a=4.0389 b=4.0389 c=4.0389 alpha=90.00 beta=90.00 gamma=90.00
Closest atoms and distances in Å follow each position.
Space group Fm-3m (No. 225)
Symmetry-distinct sites (fractional):
Al 0.0000 0.0000 0.0000 x4  12 Al 2.86

***

# Sr2CuBr2O2

Crystalline Sr2CuBr2O2 at its relaxed geometry (r²SCAN, the Materials Project).

Final energy (eV per atom): -13.063

Unit cell a=4.9454 b=4.9454 c=6.3779 alpha=90.00 beta=90.00 gamma=90.00
Closest atoms and distances in Å follow each position.
Space group P4/mmm (No. 123)
Symmetry-distinct sites (fractional):
Sr 0.0000 0.5000 0.0000 x2  4 O 2.47
Cu 0.0000 0.0000 0.5000 x1  4 Br 2.47
Br 0.0000 0.5000 0.5000 x2  2 Cu 2.47
O 0.0000 0.0000 0.0000 x1  4 Sr 2.47
O 0.5000 0.5000 0.0000 x1  4 Sr 2.47

***

# Nd2Co12P7

Crystalline Nd2Co12P7 at its relaxed geometry (r²SCAN, the Materials Project).

Final energy (eV per atom): -14.047

Unit cell a=8.9784 b=8.9784 c=3.6861 alpha=90.00 beta=90.00 gamma=120.00
Closest atoms and distances in Å follow each position.
Space group P-6 (No. 174)
Symmetry-distinct sites (fractional):
Nd 0.0000 0.0000 0.0000 x1  6 P 2.91, 12 Co 3.01-3.19
Nd 0.3333 0.6667 0.5000 x1  6 P 2.87, 9 Co 2.97-3.08
Co 0.0481 0.7621 0.5000 x3  4 P 2.23-2.34
Co 0.0919 0.3918 0.0000 x3  4 P 2.26-2.29, 1 Co 2.43
Co 0.3951 0.2133 0.0000 x3  4 P 2.12-2.31
Co 0.5508 0.1250 0.5000 x3  3 P 2.26-2.46
P 0.0740 0.6365 0.0000 x3  5 Co 2.17-2.28
P 0.2684 0.0416 0.5000 x3  7 Co 2.26-2.34
P 0.6667 0.3333 0.0000 x1  3 Co 2.12

***

# NdVGe3

Crystalline NdVGe3 at its relaxed geometry (r²SCAN, the Materials Project).

Final energy (eV per atom): -17.576

Unit cell a=6.2184 b=6.2184 c=5.6204 alpha=90.00 beta=90.00 gamma=120.00
Closest atoms and distances in Å follow each position.
Space group P6_3/mmc (No. 194)
Symmetry-distinct sites (fractional):
Nd 0.3333 0.6667 0.2500 x2  12 Ge 3.12-3.18
V 0.0000 0.0000 0.0000 x2  6 Ge 2.53, 2 V 2.81
Ge 0.1953 0.3906 0.7500 x6  2 V 2.53, 2 Ge 2.58

***

# Tb7NiI12

Crystalline Tb7NiI12 at its relaxed geometry (r²SCAN, the Materials Project).

Final energy (eV per atom): -27.692

Unit cell a=15.6054 b=15.6054 c=10.6192 alpha=90.00 beta=90.00 gamma=120.00
Closest atoms and distances in Å follow each position.
Space group R-3 (No. 148, hexagonal axes)
Symmetry-distinct sites (fractional):
Tb 0.0000 0.0000 0.0000 x3  6 I 3.07
Tb 0.0430 0.8881 0.3574 x18  1 Ni 2.64
Ni 0.0000 0.0000 0.5000 x3  6 Tb 2.64
I 0.0197 0.4340 0.1610 x18  3 Tb 3.11-3.38
I 0.0517 0.8684 0.8391 x18  3 Tb 3.07-3.17